Entry 1:
The following is a PBE+U calculation of crystalline MgVRhO4 at its relaxed geometry, from Materials Project.

Lattice parameters (Å, degrees): 5.019 3.008 5.056 90.00 91.42 90.00
Space group P2/m (No. 10)
Asymmetric unit:
1 Mg 0.000 0.000 0.000 (multiplicity 1)
2 V 0.000 0.500 0.500 (multiplicity 1)
3 Rh 0.500 0.000 0.000 (multiplicity 1)
4 O 0.201 0.000 0.670 (multiplicity 2)
5 O 0.247 0.500 0.165 (multiplicity 2)

Values from the calculation:
Calculated formation energy   -1818 meV per atom
Raw total energy   -0.48427 Ry per atom
Total magnetic moment   0.3 μB per formula unit
Energy relative to the lowest polymorph listed for this composition   0.082 eV per atom
Energy with MP2020 corrections   -50.57 eV for the cell shown

Entry 2:
The following is a PBE+U calculation of crystalline Li4Ti3Co2Sn3O16 at its relaxed geometry, from Materials Project.

Lattice parameters (Å, degrees): 6.117 6.149 9.867 89.88 89.87 60.44
Space group P1 (No. 1)
Asymmetric unit:
1 Li 0.000 0.000 0.000 (multiplicity 1)
2 Li 0.002 0.025 0.507 (multiplicity 1)
3 Li 0.305 0.319 0.609 (multiplicity 1)
4 Li 0.645 0.665 0.106 (multiplicity 1)
5 Ti 0.152 0.174 0.274 (multiplicity 1)
6 Ti 0.339 0.776 0.769 (multiplicity 1)
7 Ti 0.856 0.323 0.796 (multiplicity 1)
8 Co 0.322 0.343 0.003 (multiplicity 1)
9 Co 0.650 0.666 0.501 (multiplicity 1)
10 Sn 0.155 0.664 0.292 (multiplicity 1)
11 Sn 0.646 0.170 0.290 (multiplicity 1)
12 Sn 0.798 0.843 0.786 (multiplicity 1)
13 O 0.014 0.478 0.171 (multiplicity 1)
14 O 0.127 0.193 0.903 (multiplicity 1)
15 O 0.142 0.690 0.896 (multiplicity 1)
16 O 0.305 0.855 0.397 (multiplicity 1)
17 O 0.309 0.326 0.402 (multiplicity 1)
18 O 0.457 0.033 0.168 (multiplicity 1)
19 O 0.466 0.483 0.164 (multiplicity 1)
20 O 0.482 0.960 0.668 (multiplicity 1)
21 O 0.485 0.508 0.665 (multiplicity 1)
22 O 0.633 0.656 0.893 (multiplicity 1)
23 O 0.672 0.168 0.899 (multiplicity 1)
24 O 0.830 0.848 0.408 (multiplicity 1)
25 O 0.836 0.322 0.396 (multiplicity 1)
26 O 0.938 0.512 0.669 (multiplicity 1)
27 O 0.989 0.004 0.183 (multiplicity 1)
28 O 0.993 0.006 0.690 (multiplicity 1)

Values from the calculation:
Calculated formation energy   -2443 meV per atom
Raw total energy   -0.50103 Ry per atom
Total magnetic moment   6.0 μB per formula unit
Energy relative to the lowest polymorph listed for this composition   0.000 eV per atom
Energy with MP2020 corrections   -205.14 eV for the cell shown

Entry 3:
The following is a PBE+U calculation of crystalline NiXe4F28 at its relaxed geometry, from Materials Project.

Lattice parameters (Å, degrees): 24.817 5.725 18.038 90.00 121.93 90.00
Space group C2/c (No. 15)
Asymmetric unit:
1 Ni 0.000 0.000 0.000 (multiplicity 4)
2 Xe 0.093 0.315 0.214 (multiplicity 8)
3 Xe 0.163 0.064 0.051 (multiplicity 8)
4 F 0.006 0.265 0.059 (multiplicity 8)
5 F 0.023 0.458 0.684 (multiplicity 8)
6 F 0.041 0.055 0.218 (multiplicity 8)
7 F 0.047 0.133 0.961 (multiplicity 8)
8 F 0.073 0.097 0.594 (multiplicity 8)
9 F 0.109 0.364 0.332 (multiplicity 8)
10 F 0.127 0.250 0.499 (multiplicity 8)
11 F 0.135 0.320 0.125 (multiplicity 8)
12 F 0.138 0.190 0.933 (multiplicity 8)
13 F 0.150 0.407 0.750 (multiplicity 8)
14 F 0.168 0.107 0.280 (multiplicity 8)
15 F 0.211 0.085 0.668 (multiplicity 8)
16 F 0.225 0.329 0.096 (multiplicity 8)
17 F 0.234 0.072 0.543 (multiplicity 8)

Values from the calculation:
Calculated formation energy   -908 meV per atom
Raw total energy   -0.16484 Ry per atom
Total magnetic moment   0.0 μB per formula unit
Energy with MP2020 corrections   -357.96 eV for the cell shown

Entry 4:
The following is a PBE+U calculation of crystalline Mn2P3O10 at its relaxed geometry, from Materials Project.

Lattice parameters (Å, degrees): 13.781 8.983 9.498 90.00 123.74 90.00
Space group C2/c (No. 15)
Asymmetric unit:
1 Mn 0.219 0.019 0.034 (multiplicity 8)
2 P 0.000 0.416 0.750 (multiplicity 4)
3 P 0.140 0.206 0.700 (multiplicity 8)
4 O 0.023 0.306 0.637 (multiplicity 8)
5 O 0.108 0.497 0.372 (multiplicity 8)
6 O 0.132 0.069 0.790 (multiplicity 8)
7 O 0.132 0.159 0.540 (multiplicity 8)
8 O 0.246 0.303 0.816 (multiplicity 8)

Values from the calculation:
Calculated formation energy   -2454 meV per atom
Raw total energy   -0.54219 Ry per atom
Total magnetic moment   9.0 μB per formula unit
Energy relative to the lowest polymorph listed for this composition   0.050 eV per atom
Energy with MP2020 corrections   -483.44 eV for the cell shown

Entry 5:
The following is a PBE+U calculation of crystalline Li4V5Sb3O16 at its relaxed geometry, from Materials Project.

Lattice parameters (Å, degrees): 6.134 6.219 9.779 90.86 90.03 118.93
Space group P1 (No. 1)
Asymmetric unit:
1 Li 0.000 0.000 0.000 (multiplicity 1)
2 Li 0.007 0.001 0.508 (multiplicity 1)
3 Li 0.330 0.647 0.408 (multiplicity 1)
4 Li 0.668 0.323 0.891 (multiplicity 1)
5 V 0.177 0.326 0.722 (multiplicity 1)
6 V 0.362 0.667 0.987 (multiplicity 1)
7 V 0.673 0.822 0.720 (multiplicity 1)
8 V 0.682 0.309 0.496 (multiplicity 1)
9 V 0.839 0.157 0.219 (multiplicity 1)
10 Sb 0.179 0.820 0.721 (multiplicity 1)
11 Sb 0.349 0.158 0.220 (multiplicity 1)
12 Sb 0.841 0.651 0.220 (multiplicity 1)
13 O 0.016 0.988 0.820 (multiplicity 1)
14 O 0.029 0.012 0.324 (multiplicity 1)
15 O 0.052 0.521 0.848 (multiplicity 1)
16 O 0.174 0.312 0.111 (multiplicity 1)
17 O 0.193 0.849 0.097 (multiplicity 1)
18 O 0.331 0.144 0.613 (multiplicity 1)
19 O 0.335 0.657 0.611 (multiplicity 1)
20 O 0.488 0.952 0.843 (multiplicity 1)
21 O 0.490 0.521 0.845 (multiplicity 1)
22 O 0.506 0.442 0.359 (multiplicity 1)
23 O 0.522 0.019 0.339 (multiplicity 1)
24 O 0.654 0.297 0.101 (multiplicity 1)
25 O 0.682 0.848 0.100 (multiplicity 1)
26 O 0.845 0.149 0.616 (multiplicity 1)
27 O 0.855 0.673 0.609 (multiplicity 1)
28 O 0.959 0.439 0.358 (multiplicity 1)

Values from the calculation:
Calculated formation energy   -2243 meV per atom
Raw total energy   -0.49327 Ry per atom
Total magnetic moment   10.0 μB per formula unit
Energy with MP2020 corrections   -207.41 eV for the cell shown

Entry 6:
The following is a PBE+U calculation of crystalline CoP2O7 at its relaxed geometry, from Materials Project.

Lattice parameters (Å, degrees): 5.097 8.720 12.289 103.27 90.05 90.23
Space group P1 (No. 1)
Asymmetric unit:
1 Co 0.000 0.000 0.000 (multiplicity 1)
2 Co 0.000 0.499 0.496 (multiplicity 1)
3 Co 0.500 0.480 0.939 (multiplicity 1)
4 Co 0.504 0.982 0.437 (multiplicity 1)
5 P 0.012 0.274 0.835 (multiplicity 1)
6 P 0.021 0.179 0.586 (multiplicity 1)
7 P 0.486 0.312 0.352 (multiplicity 1)
8 P 0.489 0.220 0.106 (multiplicity 1)
9 P 0.513 0.707 0.600 (multiplicity 1)
10 P 0.518 0.801 0.851 (multiplicity 1)
11 P 0.988 0.757 0.329 (multiplicity 1)
12 P 0.989 0.665 0.083 (multiplicity 1)
13 O 0.009 0.660 0.416 (multiplicity 1)
14 O 0.013 0.841 0.091 (multiplicity 1)
15 O 0.032 0.640 0.208 (multiplicity 1)
16 O 0.187 0.563 0.011 (multiplicity 1)
17 O 0.204 0.883 0.347 (multiplicity 1)
18 O 0.206 0.369 0.384 (multiplicity 1)
19 O 0.221 0.142 0.111 (multiplicity 1)
20 O 0.288 0.347 0.828 (multiplicity 1)
21 O 0.293 0.583 0.585 (multiplicity 1)
22 O 0.297 0.117 0.555 (multiplicity 1)
23 O 0.314 0.905 0.919 (multiplicity 1)
24 O 0.473 0.816 0.724 (multiplicity 1)
25 O 0.488 0.623 0.845 (multiplicity 1)
26 O 0.495 0.817 0.522 (multiplicity 1)
27 O 0.510 0.318 0.019 (multiplicity 1)
28 O 0.511 0.135 0.345 (multiplicity 1)
29 O 0.533 0.336 0.227 (multiplicity 1)
30 O 0.687 0.416 0.425 (multiplicity 1)
31 O 0.705 0.096 0.088 (multiplicity 1)
32 O 0.705 0.610 0.052 (multiplicity 1)
33 O 0.721 0.835 0.324 (multiplicity 1)
34 O 0.786 0.632 0.606 (multiplicity 1)
35 O 0.791 0.395 0.850 (multiplicity 1)
36 O 0.796 0.863 0.882 (multiplicity 1)
37 O 0.818 0.073 0.515 (multiplicity 1)
38 O 0.972 0.163 0.712 (multiplicity 1)
39 O 0.986 0.355 0.591 (multiplicity 1)
40 O 0.997 0.166 0.914 (multiplicity 1)

Values from the calculation:
Calculated formation energy   -2059 meV per atom
Raw total energy   -0.49034 Ry per atom
Total magnetic moment   3.0 μB per formula unit
Energy relative to the lowest polymorph listed for this composition   0.025 eV per atom
Energy with MP2020 corrections   -292.65 eV for the cell shown

Entry 7:
The following is a PBE+U calculation of crystalline Li6Mn15O32 at its relaxed geometry, from Materials Project.

Lattice parameters (Å, degrees): 10.061 5.772 19.240 90.00 100.14 90.00
Space group C2/m (No. 12)
Asymmetric unit:
1 Li 0.025 0.000 0.091 (multiplicity 4)
2 Li 0.217 0.000 0.656 (multiplicity 4)
3 Li 0.217 0.500 0.151 (multiplicity 4)
4 Mn 0.000 0.000 0.500 (multiplicity 2)
5 Mn 0.001 0.251 0.750 (multiplicity 8)
6 Mn 0.124 0.500 0.880 (multiplicity 4)
7 Mn 0.127 0.000 0.377 (multiplicity 4)
8 Mn 0.248 0.500 0.750 (multiplicity 4)
9 Mn 0.250 0.250 0.000 (multiplicity 4)
10 Mn 0.250 0.250 0.500 (multiplicity 4)
11 O 0.044 0.000 0.691 (multiplicity 4)
12 O 0.044 0.500 0.190 (multiplicity 4)
13 O 0.066 0.500 0.699 (multiplicity 4)
14 O 0.067 0.000 0.198 (multiplicity 4)
15 O 0.075 0.219 0.441 (multiplicity 8)
16 O 0.085 0.266 0.934 (multiplicity 8)
17 O 0.177 0.224 0.309 (multiplicity 8)
18 O 0.178 0.275 0.807 (multiplicity 8)
19 O 0.184 0.000 0.553 (multiplicity 4)
20 O 0.198 0.500 0.051 (multiplicity 4)
21 O 0.200 0.000 0.060 (multiplicity 4)
22 O 0.206 0.500 0.559 (multiplicity 4)

Values from the calculation:
Calculated formation energy   -1913 meV per atom
Raw total energy   -0.50148 Ry per atom
Total magnetic moment   47.0 μB per formula unit
Energy relative to the lowest polymorph listed for this composition   0.023 eV per atom
Energy with MP2020 corrections   -817.24 eV for the cell shown

Entry 8:
The following is a PBE+U calculation of crystalline Mn6O5F7 at its relaxed geometry, from Materials Project.

Lattice parameters (Å, degrees): 5.139 5.749 14.558 86.21 87.93 89.21
Space group P1 (No. 1)
Asymmetric unit:
1 Mn 0.000 0.000 0.000 (multiplicity 1)
2 Mn 0.003 0.999 0.668 (multiplicity 1)
3 Mn 0.436 0.295 0.319 (multiplicity 1)
4 Mn 0.465 0.782 0.158 (multiplicity 1)
5 Mn 0.475 0.792 0.495 (multiplicity 1)
6 Mn 0.480 0.269 0.994 (multiplicity 1)
7 Mn 0.489 0.768 0.839 (multiplicity 1)
8 Mn 0.510 0.299 0.658 (multiplicity 1)
9 Mn 0.945 0.432 0.160 (multiplicity 1)
10 Mn 0.965 0.422 0.830 (multiplicity 1)
11 Mn 0.976 0.370 0.496 (multiplicity 1)
12 Mn 0.991 0.984 0.325 (multiplicity 1)
13 O 0.141 0.227 0.246 (multiplicity 1)
14 O 0.163 0.234 0.921 (multiplicity 1)
15 O 0.188 0.243 0.594 (multiplicity 1)
16 O 0.257 0.066 0.408 (multiplicity 1)
17 O 0.301 0.015 0.068 (multiplicity 1)
18 O 0.622 0.497 0.226 (multiplicity 1)
19 O 0.651 0.482 0.901 (multiplicity 1)
20 O 0.673 0.498 0.561 (multiplicity 1)
21 O 0.798 0.219 0.064 (multiplicity 1)
22 O 0.814 0.238 0.730 (multiplicity 1)
23 F 0.132 0.725 0.238 (multiplicity 1)
24 F 0.148 0.755 0.918 (multiplicity 1)
25 F 0.181 0.767 0.596 (multiplicity 1)
26 F 0.279 0.507 0.084 (multiplicity 1)
27 F 0.280 0.542 0.419 (multiplicity 1)
28 F 0.300 0.508 0.759 (multiplicity 1)
29 F 0.349 0.025 0.746 (multiplicity 1)
30 F 0.659 0.996 0.253 (multiplicity 1)
31 F 0.695 0.990 0.919 (multiplicity 1)
32 F 0.696 0.016 0.573 (multiplicity 1)
33 F 0.756 0.275 0.393 (multiplicity 1)
34 F 0.812 0.766 0.412 (multiplicity 1)
35 F 0.818 0.745 0.080 (multiplicity 1)
36 F 0.835 0.747 0.752 (multiplicity 1)

Values from the calculation:
Calculated formation energy   -2412 meV per atom
Raw total energy   -0.48940 Ry per atom
Total magnetic moment   25.0 μB per formula unit
Energy relative to the lowest polymorph listed for this composition   0.029 eV per atom
Energy with MP2020 corrections   -273.06 eV for the cell shown